# Na9Ca2Nb4Si6P3O36

An optimized crystal structure of Na9Ca2Nb4Si6P3O36 (PBE, Materials Project).

Calculated values
Energy of formation from the pure elements, eV/atom: -2.8938
Final energy, Ha/atom: -0.2647
Mass density, Mg/m³: 3.03

Geometry as POSCAR:
```
Na9Ca2Nb4Si6P3O36
1.0
13.281 0.033 -8.903
0.025 27.491 -0.061
-0.225 -0.021 9.141
Si O Na Ca P Nb
24 144 36 8 12 16
Cartesian
11.131 21.891 -0.744 Si
11.107 12.794 -0.755 Si
8.437 19.240 -3.486 Si
4.479 26.524 3.666 Si
1.850 14.604 0.953 Si
8.478 0.874 -3.468 Si
1.784 5.478 0.996 Si
13.112 8.722 -2.023 Si
4.478 8.129 3.738 Si
8.434 26.680 0.946 Si
4.544 10.231 -0.824 Si
11.197 23.993 -5.306 Si
1.790 21.993 5.380 Si
4.612 1.067 -0.824 Si
4.511 17.387 3.802 Si
11.260 5.731 -5.282 Si
8.417 8.263 0.959 Si
11.265 14.829 -5.306 Si
11.139 3.658 -0.619 Si
4.633 19.460 -0.861 Si
1.781 12.918 5.428 Si
1.827 3.654 5.428 Si
8.480 17.416 0.946 Si
6.484 22.451 2.398 Si
3.060 15.081 0.033 O
4.573 17.875 -1.050 O
1.801 5.319 5.545 O
10.959 5.254 -0.246 O
7.694 21.664 1.544 O
0.434 12.404 4.770 O
11.110 22.391 -5.200 O
12.742 8.593 -7.783 O
5.727 3.007 3.218 O
0.694 0.538 7.787 O
9.589 10.716 -4.184 O
1.671 24.164 2.444 O
7.230 7.701 0.078 O
7.389 4.011 -1.239 O
2.961 24.445 0.237 O
7.826 24.099 -2.984 O
11.201 4.146 -5.471 O
12.673 6.235 -4.504 O
3.295 3.268 4.754 O
7.797 5.815 -3.001 O
11.327 15.526 -6.807 O
9.863 2.850 0.058 O
12.556 12.157 -0.192 O
6.028 10.845 -0.217 O
6.050 1.616 -0.150 O
12.380 16.769 -1.265 O
12.372 1.351 -5.977 O
9.727 26.193 0.133 O
7.608 3.382 1.587 O
5.928 16.677 4.428 O
7.347 14.300 3.305 O
8.182 7.788 2.602 O
9.687 1.352 -4.388 O
6.070 4.008 -3.370 O
8.407 0.869 1.092 O
12.681 24.607 -4.699 O
5.521 23.230 1.444 O
1.554 21.517 7.023 O
9.952 15.475 -4.538 O
4.457 8.629 -0.718 O
4.432 7.552 2.256 O
0.602 21.430 4.499 O
8.266 16.943 2.584 O
7.438 13.124 -1.344 O
1.056 26.281 5.906 O
5.625 5.853 -1.730 O
5.940 7.532 4.428 O
1.864 3.807 0.899 O
0.375 15.140 0.469 O
9.948 17.030 0.272 O
9.978 24.749 -4.417 O
9.880 21.177 0.118 O
5.744 15.080 -1.556 O
1.232 1.220 1.508 O
1.613 3.181 7.067 O
1.782 5.850 2.657 O
11.113 13.236 -5.428 O
4.331 18.983 4.175 O
3.207 25.728 4.338 O
5.690 21.278 3.236 O
7.087 26.166 0.288 O
3.325 10.987 0.065 O
12.593 21.294 -0.054 O
0.272 5.858 0.529 O
7.146 10.267 -4.245 O
12.130 18.578 -2.900 O
0.809 8.573 3.249 O
7.462 22.335 -1.233 O
12.334 26.113 -1.497 O
6.114 22.322 -3.362 O
4.674 1.764 -2.325 O
1.041 7.902 6.026 O
3.299 1.713 -0.056 O
1.711 12.454 7.114 O
1.752 23.669 5.442 O
12.318 7.548 -1.185 O
1.959 22.139 0.968 O
7.003 1.411 -3.952 O
7.885 14.982 -2.974 O
5.958 13.430 -3.386 O
9.921 6.375 -4.554 O
11.085 21.314 -2.226 O
6.045 19.964 -0.083 O
9.835 11.999 -0.083 O
8.435 19.612 -1.825 O
4.459 26.612 2.069 O
11.025 14.411 -0.295 O
8.586 8.410 -3.453 O
11.346 6.458 -6.744 O
8.454 19.081 1.063 O
5.681 12.351 2.985 O
8.491 1.353 -1.831 O
11.259 3.579 -2.197 O
3.249 21.532 4.788 O
4.288 9.727 3.765 O
0.981 17.111 6.008 O
7.684 12.552 1.485 O
10.941 23.489 -0.717 O
0.761 17.741 3.182 O
5.477 4.816 1.582 O
8.365 26.216 2.631 O
7.276 16.886 0.080 O
9.877 7.803 0.367 O
12.723 17.770 -7.852 O
1.173 10.337 1.498 O
12.555 2.947 0.007 O
11.009 24.535 -6.791 O
1.863 15.082 2.590 O
3.235 16.579 4.479 O
2.903 6.210 0.138 O
5.660 24.170 -1.684 O
7.405 23.527 3.359 O
7.264 5.115 3.369 O
1.741 12.951 0.997 O
3.073 12.431 4.615 O
8.517 17.569 -3.584 O
12.287 10.441 -6.105 O
4.632 17.309 2.224 O
12.612 27.192 -7.868 O
4.718 20.187 -2.324 O
0.623 3.124 4.562 O
11.087 12.883 -2.352 O
9.556 19.972 -4.344 O
3.294 20.105 -0.134 O
8.298 10.435 -1.977 O
4.485 26.965 -1.007 O
12.703 15.378 -4.632 O
12.148 9.501 -2.977 O
8.380 9.940 1.021 O
1.169 19.544 1.420 O
1.779 14.599 5.512 O
0.518 23.996 0.176 O
12.340 0.476 -3.070 O
5.929 25.887 4.229 O
4.356 10.773 -2.309 O
5.713 14.205 1.350 O
0.636 18.845 7.790 O
0.811 26.854 3.077 O
8.395 26.713 -3.485 O
3.227 7.415 4.600 O
0.752 9.765 7.841 O
6.925 19.620 -3.954 O
12.278 19.615 -6.213 O
4.372 0.649 4.187 O
4.028 5.317 3.441 Na
3.460 25.155 -2.267 Na
10.087 11.426 -6.688 Na
6.610 26.343 -1.976 Na
6.486 8.165 -2.046 Na
4.199 13.244 -0.965 Na
10.005 20.534 -6.575 Na
10.681 19.079 -1.041 Na
3.219 20.662 2.340 Na
6.285 19.131 2.283 Na
2.449 9.855 5.435 Na
9.847 6.933 -2.081 Na
3.134 2.231 2.411 Na
4.165 14.300 3.698 Na
2.558 26.776 0.730 Na
6.593 17.289 -2.079 Na
9.186 13.047 -3.691 Na
13.221 3.560 -6.500 Na
6.351 10.095 2.456 Na
9.364 22.219 -3.609 Na
2.710 8.457 0.873 Na
9.864 25.197 -2.062 Na
10.852 27.006 -5.447 Na
-0.043 12.581 2.506 Na
13.139 21.927 -6.528 Na
3.351 6.772 -2.093 Na
12.900 14.504 -2.286 Na
3.234 16.320 -2.120 Na
9.102 23.617 0.953 Na
10.793 0.571 -0.723 Na
6.247 0.742 2.196 Na
9.861 2.591 -6.541 Na
13.004 23.857 -2.026 Na
12.913 5.402 -2.138 Na
3.211 11.435 2.420 Na
9.787 15.992 -2.071 Na
11.792 11.375 -3.936 Ca
5.132 16.176 0.424 Ca
5.229 6.712 0.400 Ca
11.736 25.213 0.551 Ca
11.882 20.474 -4.083 Ca
11.759 2.446 -3.997 Ca
5.083 11.451 5.033 Ca
5.164 25.104 0.485 Ca
6.712 14.171 -2.305 P
0.073 18.677 2.107 P
0.058 0.410 2.177 P
6.574 13.369 2.258 P
0.054 9.489 2.198 P
-0.054 27.098 6.679 P
6.701 4.947 -2.314 P
1.811 23.710 0.907 P
6.707 23.250 -2.284 P
8.439 9.981 -3.513 P
-0.112 17.832 6.835 P
6.516 4.103 2.415 P
11.635 6.894 0.627 Nb
1.384 11.480 -0.441 Nb
8.038 25.242 -4.923 Nb
1.403 20.617 -0.466 Nb
1.267 6.850 4.332 Nb
11.697 16.007 0.628 Nb
8.031 6.888 -4.887 Nb
5.008 20.623 5.048 Nb
1.301 16.053 4.185 Nb
1.285 25.176 4.163 Nb
8.058 16.106 -4.902 Nb
7.928 2.324 -0.236 Nb
1.405 2.344 -0.420 Nb
7.920 20.612 -0.150 Nb
5.044 2.245 5.110 Nb
7.913 11.446 -0.258 Nb
```